# 1
# MgTi8Ni8O24

MgTi8Ni8O24 after structural relaxation (PBE+U, the Materials Project).

* E above lowest polymorph: 18.5 meV/atom
* energy: -7.172 eV per atom
* ΔE_f: -56.87 kcal/mol of atoms
* size of the total moment: 14.00 μB/cell

a b c (Å): 5.573 9.083 9.213
angles (deg): 67.51 83.93 84.39
Space group P1 (No. 1)
One atom of each set of equivalent atoms:
Mg1 0.000 0.000 0.000 [1 per cell]
Ti1 0.166 0.180 0.660 [1 per cell]
Ti2 0.178 0.648 0.184 [1 per cell]
Ti3 0.185 0.398 0.923 [1 per cell]
Ti4 0.255 0.806 0.802 [1 per cell]
Ti5 0.281 0.303 0.317 [1 per cell]
Ti6 0.676 0.175 0.166 [1 per cell]
Ti7 0.690 0.658 0.671 [1 per cell]
Ti8 0.762 0.812 0.323 [1 per cell]
Ni1 0.162 0.917 0.421 [1 per cell]
Ni2 0.274 0.564 0.567 [1 per cell]
Ni3 0.414 0.947 0.131 [1 per cell]
Ni4 0.643 0.909 0.898 [1 per cell]
Ni5 0.683 0.412 0.419 [1 per cell]
Ni6 0.762 0.067 0.567 [1 per cell]
Ni7 0.762 0.311 0.813 [1 per cell]
Ni8 0.775 0.566 0.065 [1 per cell]
O1 0.127 0.607 0.953 [1 per cell]
O2 0.129 0.125 0.460 [1 per cell]
O3 0.131 0.213 0.855 [1 per cell]
O4 0.131 0.714 0.356 [1 per cell]
O5 0.290 0.842 0.012 [1 per cell]
O6 0.312 0.763 0.624 [1 per cell]
O7 0.320 0.356 0.521 [1 per cell]
O8 0.333 0.277 0.114 [1 per cell]
O9 0.439 0.014 0.708 [1 per cell]
O10 0.455 0.458 0.777 [1 per cell]
O11 0.465 0.523 0.215 [1 per cell]
O12 0.499 0.963 0.314 [1 per cell]
O13 0.612 0.706 0.855 [1 per cell]
O14 0.628 0.218 0.357 [1 per cell]
O15 0.635 0.620 0.468 [1 per cell]
O16 0.660 0.098 0.976 [1 per cell]
O17 0.820 0.847 0.532 [1 per cell]
O18 0.830 0.772 0.125 [1 per cell]
O19 0.831 0.260 0.617 [1 per cell]
O20 0.834 0.355 0.027 [1 per cell]
O21 0.951 0.015 0.219 [1 per cell]
O22 0.960 0.520 0.718 [1 per cell]
O23 0.978 0.954 0.782 [1 per cell]
O24 0.995 0.461 0.266 [1 per cell]



# 2
# MgTi8Ni8O24

MgTi8Ni8O24 after structural relaxation (PBE+U, the Materials Project).

* E above lowest polymorph: 14.8 meV/atom
* energy: -7.175 eV per atom
* ΔE_f: -56.95 kcal/mol of atoms
* size of the total moment: 9.99 μB/cell

a b c (Å): 5.611 9.086 9.131
angles (deg): 67.53 83.75 84.11
Space group P1 (No. 1)
One atom of each set of equivalent atoms:
Mg1 0.000 0.000 0.000 [1 per cell]
Ti1 0.190 0.930 0.432 [1 per cell]
Ti2 0.199 0.423 0.933 [1 per cell]
Ti3 0.204 0.182 0.663 [1 per cell]
Ti4 0.295 0.579 0.562 [1 per cell]
Ti5 0.364 0.081 0.091 [1 per cell]
Ti6 0.656 0.910 0.896 [1 per cell]
Ti7 0.716 0.428 0.423 [1 per cell]
Ti8 0.791 0.583 0.065 [1 per cell]
Ni1 0.195 0.672 0.177 [1 per cell]
Ni2 0.281 0.810 0.817 [1 per cell]
Ni3 0.310 0.329 0.322 [1 per cell]
Ni4 0.695 0.669 0.670 [1 per cell]
Ni5 0.736 0.185 0.184 [1 per cell]
Ni6 0.795 0.075 0.572 [1 per cell]
Ni7 0.797 0.824 0.330 [1 per cell]
Ni8 0.799 0.328 0.819 [1 per cell]
O1 0.013 0.718 0.526 [1 per cell]
O2 0.030 0.214 0.025 [1 per cell]
O3 0.151 0.471 0.114 [1 per cell]
O4 0.159 0.374 0.711 [1 per cell]
O5 0.159 0.977 0.616 [1 per cell]
O6 0.170 0.893 0.204 [1 per cell]
O7 0.328 0.037 0.875 [1 per cell]
O8 0.337 0.606 0.778 [1 per cell]
O9 0.350 0.529 0.381 [1 per cell]
O10 0.355 0.115 0.286 [1 per cell]
O11 0.475 0.778 0.470 [1 per cell]
O12 0.489 0.223 0.534 [1 per cell]
O13 0.493 0.714 0.029 [1 per cell]
O14 0.495 0.286 0.970 [1 per cell]
O15 0.639 0.868 0.716 [1 per cell]
O16 0.650 0.472 0.611 [1 per cell]
O17 0.660 0.386 0.224 [1 per cell]
O18 0.673 0.969 0.111 [1 per cell]
O19 0.843 0.618 0.279 [1 per cell]
O20 0.848 0.111 0.789 [1 per cell]
O21 0.853 0.524 0.884 [1 per cell]
O22 0.865 0.022 0.376 [1 per cell]
O23 0.976 0.787 0.969 [1 per cell]
O24 0.992 0.285 0.476 [1 per cell]



# 3
# MgTi8Ni8O24

MgTi8Ni8O24 after structural relaxation (PBE+U, the Materials Project).

* E above lowest polymorph: 0.0 meV/atom
* energy: -7.190 eV per atom
* ΔE_f: -57.29 kcal/mol of atoms
* size of the total moment: 13.97 μB/cell

a b c (Å): 5.662 9.050 9.102
angles (deg): 68.37 84.14 84.29
Space group P1 (No. 1)
One atom of each set of equivalent atoms:
Mg1 0.000 0.000 0.000 [1 per cell]
Ti1 0.092 0.524 0.504 [1 per cell]
Ti2 0.157 0.179 0.662 [1 per cell]
Ti3 0.181 0.661 0.167 [1 per cell]
Ti4 0.428 0.856 0.854 [1 per cell]
Ti5 0.579 0.030 0.504 [1 per cell]
Ti6 0.592 0.497 0.013 [1 per cell]
Ti7 0.665 0.661 0.648 [1 per cell]
Ti8 0.731 0.158 0.188 [1 per cell]
Ni1 0.039 0.760 0.760 [1 per cell]
Ni2 0.102 0.272 0.265 [1 per cell]
Ni3 0.172 0.417 0.911 [1 per cell]
Ni4 0.185 0.908 0.414 [1 per cell]
Ni5 0.371 0.085 0.085 [1 per cell]
Ni6 0.581 0.763 0.258 [1 per cell]
Ni7 0.582 0.264 0.755 [1 per cell]
Ni8 0.685 0.420 0.410 [1 per cell]
O1 0.016 0.707 0.560 [1 per cell]
O2 0.042 0.316 0.469 [1 per cell]
O3 0.047 0.205 0.066 [1 per cell]
O4 0.095 0.800 0.955 [1 per cell]
O5 0.228 0.870 0.201 [1 per cell]
O6 0.229 0.373 0.700 [1 per cell]
O7 0.239 0.475 0.110 [1 per cell]
O8 0.247 0.966 0.641 [1 per cell]
O9 0.369 0.058 0.870 [1 per cell]
O10 0.373 0.563 0.365 [1 per cell]
O11 0.396 0.117 0.307 [1 per cell]
O12 0.396 0.635 0.804 [1 per cell]
O13 0.529 0.806 0.469 [1 per cell]
O14 0.535 0.211 0.554 [1 per cell]
O15 0.537 0.303 0.973 [1 per cell]
O16 0.542 0.705 0.047 [1 per cell]
O17 0.702 0.979 0.134 [1 per cell]
O18 0.704 0.867 0.706 [1 per cell]
O19 0.725 0.475 0.609 [1 per cell]
O20 0.730 0.376 0.203 [1 per cell]
O21 0.856 0.556 0.866 [1 per cell]
O22 0.891 0.059 0.382 [1 per cell]
O23 0.893 0.136 0.788 [1 per cell]
O24 0.898 0.620 0.302 [1 per cell]



# 4
# MgTi8Ni8O24

MgTi8Ni8O24 after structural relaxation (PBE+U, the Materials Project).

* E above lowest polymorph: 10.6 meV/atom
* energy: -7.180 eV per atom
* ΔE_f: -57.05 kcal/mol of atoms
* size of the total moment: 14.03 μB/cell

a b c (Å): 5.572 9.055 9.138
angles (deg): 68.12 83.93 83.98
Space group P1 (No. 1)
One atom of each set of equivalent atoms:
Mg1 0.000 0.000 0.000 [1 per cell]
Ti1 0.053 0.398 0.890 [1 per cell]
Ti2 0.055 0.881 0.392 [1 per cell]
Ti3 0.480 0.229 0.745 [1 per cell]
Ti4 0.483 0.750 0.233 [1 per cell]
Ti5 0.552 0.633 0.639 [1 per cell]
Ti6 0.557 0.383 0.391 [1 per cell]
Ti7 0.613 0.903 0.891 [1 per cell]
Ti8 0.990 0.240 0.247 [1 per cell]
Ni1 0.069 0.144 0.640 [1 per cell]
Ni2 0.075 0.634 0.146 [1 per cell]
Ni3 0.271 0.814 0.816 [1 per cell]
Ni4 0.468 0.992 0.485 [1 per cell]
Ni5 0.471 0.486 0.997 [1 per cell]
Ni6 0.576 0.140 0.144 [1 per cell]
Ni7 0.940 0.730 0.734 [1 per cell]
Ni8 0.969 0.486 0.490 [1 per cell]
O1 0.112 0.091 0.436 [1 per cell]
O2 0.116 0.698 0.345 [1 per cell]
O3 0.117 0.588 0.939 [1 per cell]
O4 0.132 0.206 0.844 [1 per cell]
O5 0.258 0.285 0.101 [1 per cell]
O6 0.273 0.773 0.587 [1 per cell]
O7 0.284 0.340 0.533 [1 per cell]
O8 0.302 0.844 0.047 [1 per cell]
O9 0.422 0.930 0.289 [1 per cell]
O10 0.424 0.441 0.778 [1 per cell]
O11 0.433 0.031 0.699 [1 per cell]
O12 0.433 0.533 0.205 [1 per cell]
O13 0.602 0.695 0.838 [1 per cell]
O14 0.607 0.595 0.442 [1 per cell]
O15 0.619 0.199 0.343 [1 per cell]
O16 0.623 0.099 0.940 [1 per cell]
O17 0.752 0.286 0.596 [1 per cell]
O18 0.770 0.786 0.103 [1 per cell]
O19 0.772 0.835 0.528 [1 per cell]
O20 0.790 0.340 0.037 [1 per cell]
O21 0.908 0.523 0.700 [1 per cell]
O22 0.922 0.427 0.293 [1 per cell]
O23 0.931 0.033 0.208 [1 per cell]
O24 0.936 0.936 0.796 [1 per cell]



# 5
# MgTi8Ni8O24

MgTi8Ni8O24 after structural relaxation (PBE+U, the Materials Project).

* E above lowest polymorph: 74.7 meV/atom
* energy: -7.116 eV per atom
* ΔE_f: -55.57 kcal/mol of atoms
* size of the total moment: 10.02 μB/cell

a b c (Å): 5.696 8.958 9.150
angles (deg): 69.45 83.93 85.40
Space group P1 (No. 1)
One atom of each set of equivalent atoms:
Mg1 0.000 0.000 0.000 [1 per cell]
Ti1 0.084 0.291 0.078 [1 per cell]
Ti2 0.106 0.538 0.324 [1 per cell]
Ti3 0.121 0.769 0.597 [1 per cell]
Ti4 0.200 0.416 0.726 [1 per cell]
Ti5 0.238 0.931 0.255 [1 per cell]
Ti6 0.597 0.765 0.094 [1 per cell]
Ti7 0.634 0.282 0.559 [1 per cell]
Ti8 0.701 0.920 0.737 [1 per cell]
Ni1 0.145 0.061 0.737 [1 per cell]
Ni2 0.207 0.677 0.979 [1 per cell]
Ni3 0.213 0.194 0.452 [1 per cell]
Ni4 0.609 0.527 0.826 [1 per cell]
Ni5 0.630 0.198 0.966 [1 per cell]
Ni6 0.642 0.028 0.340 [1 per cell]
Ni7 0.700 0.430 0.222 [1 per cell]
Ni8 0.713 0.680 0.486 [1 per cell]
O1 0.056 0.829 0.776 [1 per cell]
O2 0.060 0.341 0.260 [1 per cell]
O3 0.069 0.227 0.862 [1 per cell]
O4 0.075 0.732 0.382 [1 per cell]
O5 0.247 0.466 0.930 [1 per cell]
O6 0.248 0.394 0.521 [1 per cell]
O7 0.257 0.966 0.448 [1 per cell]
O8 0.263 0.862 0.070 [1 per cell]
O9 0.369 0.139 0.129 [1 per cell]
O10 0.394 0.639 0.630 [1 per cell]
O11 0.396 0.571 0.188 [1 per cell]
O12 0.469 0.072 0.676 [1 per cell]
O13 0.543 0.334 0.753 [1 per cell]
O14 0.560 0.232 0.377 [1 per cell]
O15 0.562 0.732 0.879 [1 per cell]
O16 0.570 0.828 0.277 [1 per cell]
O17 0.700 0.971 0.944 [1 per cell]
O18 0.761 0.372 0.023 [1 per cell]
O19 0.768 0.479 0.432 [1 per cell]
O20 0.768 0.874 0.547 [1 per cell]
O21 0.893 0.147 0.602 [1 per cell]
O22 0.895 0.651 0.128 [1 per cell]
O23 0.933 0.570 0.685 [1 per cell]
O24 0.939 0.063 0.188 [1 per cell]



# 6
# MgTi8Ni8O24

MgTi8Ni8O24 after structural relaxation (PBE+U, the Materials Project).

* E above lowest polymorph: 77.5 meV/atom
* energy: -7.113 eV per atom
* ΔE_f: -55.50 kcal/mol of atoms
* size of the total moment: 3.98 μB/cell

a b c (Å): 5.582 9.114 9.121
angles (deg): 68.45 84.41 84.96
Space group P1 (No. 1)
One atom of each set of equivalent atoms:
Mg1 0.000 0.000 0.000 [1 per cell]
Ti1 0.267 0.818 0.813 [1 per cell]
Ti2 0.387 0.991 0.468 [1 per cell]
Ti3 0.398 0.475 0.976 [1 per cell]
Ti4 0.613 0.911 0.910 [1 per cell]
Ti5 0.806 0.343 0.811 [1 per cell]
Ti6 0.827 0.821 0.333 [1 per cell]
Ti7 0.903 0.233 0.220 [1 per cell]
Ti8 0.919 0.473 0.463 [1 per cell]
Ni1 0.312 0.579 0.574 [1 per cell]
Ni2 0.316 0.329 0.332 [1 per cell]
Ni3 0.405 0.232 0.719 [1 per cell]
Ni4 0.406 0.726 0.241 [1 per cell]
Ni5 0.503 0.126 0.113 [1 per cell]
Ni6 0.800 0.080 0.574 [1 per cell]
Ni7 0.810 0.577 0.078 [1 per cell]
Ni8 0.889 0.722 0.719 [1 per cell]
O1 0.088 0.371 0.683 [1 per cell]
O2 0.100 0.859 0.208 [1 per cell]
O3 0.110 0.929 0.611 [1 per cell]
O4 0.118 0.428 0.118 [1 per cell]
O5 0.247 0.125 0.285 [1 per cell]
O6 0.251 0.524 0.384 [1 per cell]
O7 0.262 0.615 0.784 [1 per cell]
O8 0.291 0.013 0.861 [1 per cell]
O9 0.442 0.305 0.913 [1 per cell]
O10 0.453 0.693 0.012 [1 per cell]
O11 0.457 0.169 0.527 [1 per cell]
O12 0.467 0.796 0.434 [1 per cell]
O13 0.593 0.874 0.693 [1 per cell]
O14 0.623 0.374 0.178 [1 per cell]
O15 0.630 0.430 0.619 [1 per cell]
O16 0.643 0.914 0.116 [1 per cell]
O17 0.753 0.520 0.871 [1 per cell]
O18 0.763 0.112 0.798 [1 per cell]
O19 0.763 0.619 0.291 [1 per cell]
O20 0.767 0.033 0.360 [1 per cell]
O21 0.906 0.204 0.027 [1 per cell]
O22 0.938 0.790 0.922 [1 per cell]
O23 0.942 0.285 0.424 [1 per cell]
O24 0.951 0.681 0.520 [1 per cell]



# 7
# Mg14TiNiO16

Mg14TiNiO16 after structural relaxation (PBE+U, the Materials Project).

* E above lowest polymorph: 0.0 meV/atom
* energy: -6.066 eV per atom
* ΔE_f: -66.59 kcal/mol of atoms
* size of the total moment: 0.00 μB/cell

a b c (Å): 4.235 8.506 8.640
angles (deg): 90.00 90.00 90.00
Space group Pmmm (No. 47)
One atom of each set of equivalent atoms:
Mg1 0.000 0.000 0.000 [1 per cell]
Mg2 0.000 0.000 0.500 [1 per cell]
Mg3 0.000 0.250 0.243 [4 per cell]
Mg4 0.500 0.000 0.248 [2 per cell]
Mg5 0.500 0.247 0.500 [2 per cell]
Mg6 0.500 0.253 0.000 [2 per cell]
Mg7 0.500 0.500 0.241 [2 per cell]
Ti1 0.000 0.500 0.500 [1 per cell]
Ni1 0.000 0.500 0.000 [1 per cell]
O1 0.000 0.000 0.253 [2 per cell]
O2 0.000 0.240 0.000 [2 per cell]
O3 0.000 0.251 0.500 [2 per cell]
O4 0.000 0.500 0.271 [2 per cell]
O5 0.500 0.000 0.000 [1 per cell]
O6 0.500 0.000 0.500 [1 per cell]
O7 0.500 0.251 0.251 [4 per cell]
O8 0.500 0.500 0.000 [1 per cell]
O9 0.500 0.500 0.500 [1 per cell]



# 8
# MgTi3ZnNiO9

MgTi3ZnNiO9 after structural relaxation (PBE+U, the Materials Project).

* energy: -7.463 eV per atom
* ΔE_f: -67.35 kcal/mol of atoms
* size of the total moment: 4.00 μB/cell

a b c (Å): 5.1004 5.1004 14.0641
angles (deg): 90.00 90.00 120.00
Space group P3 (No. 143)
One atom of each set of equivalent atoms:
Mg1 0.0000 0.0000 0.0000 [1 per cell]
Mg2 0.3333 0.6667 0.6673 [1 per cell]
Ti1 0.0000 0.0000 0.2088 [1 per cell]
Ti2 0.0000 0.0000 0.4990 [1 per cell]
Ti3 0.3333 0.6667 0.1631 [1 per cell]
Ti4 0.3333 0.6667 0.8771 [1 per cell]
Ti5 0.6667 0.3333 0.5431 [1 per cell]
Ti6 0.6667 0.3333 0.8303 [1 per cell]
Zn1 0.3333 0.6667 0.3786 [1 per cell]
Zn2 0.6667 0.3333 0.3270 [1 per cell]
Ni1 0.0000 0.0000 0.7049 [1 per cell]
Ni2 0.6667 0.3333 0.0379 [1 per cell]
O1 0.0174 0.6479 0.7741 [3 per cell]
O2 0.0186 0.7026 0.1069 [3 per cell]
O3 0.0379 0.3500 0.2660 [3 per cell]
O4 0.3171 0.0212 0.6012 [3 per cell]
O5 0.3497 0.3123 0.4421 [3 per cell]
O6 0.3717 0.0169 0.9341 [3 per cell]



# 9
# MgV3NiO8

MgV3NiO8 after structural relaxation (PBE+U, the Materials Project).

* energy: -6.893 eV per atom
* ΔE_f: -50.61 kcal/mol of atoms
* size of the total moment: 4.62 μB/cell

a b c (Å): 12.123 3.961 6.688
angles (deg): 90.00 106.07 90.00
Space group Cm (No. 8)
One atom of each set of equivalent atoms:
Mg1 0.000 0.000 0.000 [2 per cell]
V1 0.074 0.500 0.321 [2 per cell]
V2 0.272 0.500 0.722 [2 per cell]
V3 0.457 0.000 0.670 [2 per cell]
Ni1 0.373 0.500 0.310 [2 per cell]
O1 0.027 0.500 0.010 [2 per cell]
O2 0.043 0.000 0.302 [2 per cell]
O3 0.106 0.500 0.654 [2 per cell]
O4 0.225 0.500 0.394 [2 per cell]
O5 0.304 0.000 0.695 [2 per cell]
O6 0.320 0.500 0.991 [2 per cell]
O7 0.413 0.000 0.368 [2 per cell]
O8 0.436 0.500 0.685 [2 per cell]



# 10
# Mg2NiWO6

Mg2NiWO6 after structural relaxation (PBE+U, the Materials Project).

* energy: -6.365 eV per atom
* ΔE_f: -53.33 kcal/mol of atoms
* size of the total moment: 4.00 μB/cell

a b c (Å): 5.012 5.220 9.627
angles (deg): 90.00 120.43 90.00
Space group P2_1/c (No. 14)
One atom of each set of equivalent atoms:
Mg1 0.206 0.055 0.235 [4 per cell]
Ni1 0.000 0.000 0.500 [2 per cell]
W1 0.500 0.000 0.000 [2 per cell]
O1 0.135 0.199 0.943 [4 per cell]
O2 0.207 0.707 0.898 [4 per cell]
O3 0.449 0.096 0.793 [4 per cell]



# 11
# MgNiW2O8

MgNiW2O8 after structural relaxation (PBE+U, the Materials Project).

* E above lowest polymorph: 0.0 meV/atom
* energy: -6.825 eV per atom
* ΔE_f: -49.84 kcal/mol of atoms
* size of the total moment: 2.00 μB/cell

a b c (Å): 5.031 5.755 5.842
angles (deg): 70.37 89.03 64.70
Space group P1 (No. 1)
One atom of each set of equivalent atoms:
Mg1 0.000 0.000 0.000 [1 per cell]
Ni1 0.523 0.955 0.697 [1 per cell]
W1 0.294 0.426 0.046 [1 per cell]
W2 0.763 0.469 0.385 [1 per cell]
O1 0.198 0.242 0.381 [1 per cell]
O2 0.264 0.195 0.903 [1 per cell]
O3 0.295 0.720 0.795 [1 per cell]
O4 0.355 0.660 0.252 [1 per cell]
O5 0.708 0.234 0.164 [1 per cell]
O6 0.748 0.192 0.656 [1 per cell]
O7 0.769 0.700 0.523 [1 per cell]
O8 0.860 0.681 0.043 [1 per cell]